No. 1
VASP calculation (r2SCAN) on a geometry-optimized Sr4SiAs4 structure.

Geometry as POSCAR:
```
Sr4SiAs4
1.0
-8.638 -6.751 6.565
-4.715 -4.610 -10.946
8.151 -9.822 0.626
Sr Si As
32 8 32
Direct
0.132 0.644 0.096 Sr
0.356 0.904 0.132 Sr
0.096 0.868 0.356 Sr
0.868 0.356 0.096 Sr
0.644 0.096 0.132 Sr
0.904 0.132 0.356 Sr
0.132 0.356 0.904 Sr
0.356 0.096 0.868 Sr
0.096 0.132 0.644 Sr
0.868 0.644 0.904 Sr
0.644 0.904 0.868 Sr
0.904 0.868 0.644 Sr
0.632 0.596 0.144 Sr
0.856 0.632 0.404 Sr
0.596 0.856 0.368 Sr
0.368 0.596 0.856 Sr
0.144 0.632 0.596 Sr
0.404 0.856 0.632 Sr
0.632 0.404 0.856 Sr
0.856 0.368 0.596 Sr
0.596 0.144 0.632 Sr
0.368 0.404 0.144 Sr
0.144 0.368 0.404 Sr
0.404 0.144 0.368 Sr
0.855 0.145 0.855 Sr
0.145 0.855 0.855 Sr
0.855 0.855 0.145 Sr
0.145 0.145 0.145 Sr
0.355 0.355 0.645 Sr
0.645 0.355 0.355 Sr
0.355 0.645 0.355 Sr
0.645 0.645 0.645 Sr
0.000 0.500 0.250 Si
0.500 0.750 0.000 Si
0.250 0.000 0.500 Si
0.500 0.250 0.000 Si
0.750 0.000 0.500 Si
0.000 0.500 0.750 Si
0.500 0.500 0.500 Si
0.000 0.000 0.000 Si
0.106 0.616 0.351 As
0.384 0.649 0.106 As
0.351 0.894 0.384 As
0.894 0.384 0.351 As
0.616 0.351 0.106 As
0.649 0.106 0.384 As
0.106 0.384 0.649 As
0.384 0.351 0.894 As
0.351 0.106 0.616 As
0.894 0.616 0.649 As
0.616 0.649 0.894 As
0.649 0.894 0.616 As
0.606 0.851 0.116 As
0.884 0.606 0.149 As
0.851 0.884 0.394 As
0.394 0.851 0.884 As
0.116 0.606 0.851 As
0.149 0.884 0.606 As
0.606 0.149 0.884 As
0.884 0.394 0.851 As
0.851 0.116 0.606 As
0.394 0.149 0.116 As
0.116 0.394 0.149 As
0.149 0.116 0.394 As
0.108 0.892 0.108 As
0.892 0.108 0.108 As
0.108 0.108 0.892 As
0.892 0.892 0.892 As
0.608 0.608 0.392 As
0.392 0.608 0.608 As
0.608 0.392 0.608 As
0.392 0.392 0.392 As
```

Calculated values
electronic total energy	-15.450	eV per atom
energy of formation	-1.21	eV per atom



No. 2
VASP calculation (r2SCAN) on a geometry-optimized TaSiAs structure.

Geometry as POSCAR:
```
TaSiAs
1.0
-2.568 -0.627 2.302
1.152 -3.288 0.390
4.689 2.338 5.867
Ta Si As
2 2 2
Direct
0.250 0.250 0.255 Ta
0.750 0.750 0.745 Ta
0.750 0.250 0.000 Si
0.250 0.750 0.000 Si
0.250 0.250 0.612 As
0.750 0.750 0.388 As
```

Calculated values
electronic total energy	-24.564	eV per atom
energy of formation	-0.54	eV per atom



No. 3
VASP calculation (r2SCAN) on a geometry-optimized Sr14Sn3As12 structure.

Geometry as POSCAR:
```
Sr14Sn3As12
1.0
6.931 -6.564 0.013
6.931 6.564 0.013
0.697 0.000 9.521
Sr Sn As
14 3 12
Direct
0.413 0.271 0.774 Sr
0.774 0.413 0.271 Sr
0.271 0.774 0.413 Sr
0.987 0.538 0.653 Sr
0.653 0.987 0.538 Sr
0.538 0.653 0.987 Sr
0.175 0.536 0.021 Sr
0.021 0.175 0.536 Sr
0.536 0.021 0.175 Sr
0.764 0.266 0.910 Sr
0.910 0.764 0.266 Sr
0.266 0.910 0.764 Sr
0.187 0.187 0.187 Sr
0.401 0.401 0.401 Sr
0.000 0.000 0.000 Sn
0.837 0.837 0.837 Sn
0.609 0.609 0.609 Sn
0.702 0.330 0.588 As
0.588 0.702 0.330 As
0.330 0.588 0.702 As
0.588 0.969 0.860 As
0.860 0.588 0.969 As
0.969 0.860 0.588 As
0.473 0.342 0.084 As
0.084 0.473 0.342 As
0.342 0.084 0.473 As
0.097 0.225 0.856 As
0.856 0.097 0.225 As
0.225 0.856 0.097 As
```

Calculated values
electronic total energy	-17.160	eV per atom
energy of formation	-1.20	eV per atom



No. 4
VASP calculation (r2SCAN) on a geometry-optimized Sr5Sn2As6 structure.

Geometry as POSCAR:
```
Sr5Sn2As6
1.0
4.275 0.000 0.000
0.000 12.567 0.000
0.000 0.000 14.195
Sr Sn As
10 4 12
Direct
0.000 0.621 0.257 Sr
0.000 0.379 0.743 Sr
0.000 0.121 0.243 Sr
0.000 0.879 0.757 Sr
0.000 0.870 0.432 Sr
0.000 0.130 0.568 Sr
0.000 0.370 0.068 Sr
0.000 0.630 0.932 Sr
0.000 0.500 0.500 Sr
0.000 0.000 0.000 Sr
0.500 0.786 0.104 Sn
0.500 0.214 0.896 Sn
0.500 0.286 0.396 Sn
0.500 0.714 0.604 Sn
0.500 0.578 0.102 As
0.500 0.422 0.898 As
0.500 0.078 0.398 As
0.500 0.922 0.602 As
0.500 0.670 0.423 As
0.500 0.330 0.577 As
0.500 0.170 0.077 As
0.500 0.830 0.923 As
0.000 0.868 0.196 As
0.000 0.132 0.804 As
0.000 0.368 0.304 As
0.000 0.632 0.696 As
```

Calculated values
electronic total energy	-17.488	eV per atom
energy of formation	-1.07	eV per atom



No. 5
VASP calculation (r2SCAN) on a geometry-optimized Sr5As3 structure.

Geometry as POSCAR:
```
Sr5As3
1.0
9.010 0.000 0.000
-4.505 7.803 0.000
0.000 0.000 7.270
Sr As
10 6
Direct
0.000 0.255 0.750 Sr
0.000 0.745 0.250 Sr
0.255 0.255 0.250 Sr
0.255 0.000 0.750 Sr
0.745 0.745 0.750 Sr
0.745 0.000 0.250 Sr
0.333 0.667 0.500 Sr
0.667 0.333 0.000 Sr
0.667 0.333 0.500 Sr
0.333 0.667 0.000 Sr
0.609 0.000 0.750 As
0.609 0.609 0.250 As
0.000 0.391 0.250 As
0.000 0.609 0.750 As
0.391 0.391 0.750 As
0.391 0.000 0.250 As
```

Calculated values
electronic total energy	-16.231	eV per atom
energy of formation	-1.25	eV per atom



No. 6
VASP calculation (r2SCAN) on a geometry-optimized SrAs structure.

Geometry as POSCAR:
```
SrAs
1.0
-5.809 -5.879 -0.813
7.860 -1.604 -2.146
1.183 -1.972 5.808
Sr As
6 6
Direct
0.000 0.646 0.500 Sr
0.354 0.354 0.500 Sr
0.646 0.000 0.500 Sr
0.000 0.311 0.000 Sr
0.689 0.689 0.000 Sr
0.311 0.000 0.000 Sr
0.667 0.333 0.206 As
0.667 0.333 0.794 As
0.333 0.667 0.794 As
0.333 0.667 0.206 As
0.000 0.000 0.700 As
0.000 0.000 0.300 As
```

Calculated values
electronic total energy	-16.195	eV per atom
energy of formation	-1.27	eV per atom



No. 7
VASP calculation (r2SCAN) on a geometry-optimized Sr4As3 structure.

Geometry as POSCAR:
```
Sr4As3
1.0
10.999 0.000 0.000
0.000 12.232 0.000
0.000 0.000 12.872
Sr As
32 24
Direct
0.000 0.603 0.793 Sr
0.000 0.397 0.207 Sr
0.000 0.103 0.707 Sr
0.000 0.897 0.293 Sr
0.723 0.404 0.764 Sr
0.723 0.596 0.236 Sr
0.277 0.904 0.736 Sr
0.277 0.096 0.264 Sr
0.277 0.596 0.236 Sr
0.277 0.404 0.764 Sr
0.723 0.096 0.264 Sr
0.723 0.904 0.736 Sr
0.000 0.774 0.577 Sr
0.000 0.226 0.423 Sr
0.000 0.274 0.923 Sr
0.000 0.726 0.077 Sr
0.677 0.674 0.933 Sr
0.677 0.326 0.067 Sr
0.323 0.174 0.567 Sr
0.323 0.826 0.433 Sr
0.323 0.326 0.067 Sr
0.323 0.674 0.933 Sr
0.677 0.826 0.433 Sr
0.677 0.174 0.567 Sr
0.500 0.123 0.868 Sr
0.500 0.877 0.132 Sr
0.500 0.623 0.632 Sr
0.500 0.377 0.368 Sr
0.817 0.000 0.000 Sr
0.183 0.500 0.500 Sr
0.183 0.000 0.000 Sr
0.817 0.500 0.500 Sr
0.884 0.500 0.000 As
0.116 0.000 0.500 As
0.116 0.500 0.000 As
0.884 0.000 0.500 As
0.500 0.863 0.886 As
0.500 0.137 0.114 As
0.500 0.363 0.614 As
0.500 0.637 0.386 As
0.234 0.838 0.177 As
0.234 0.162 0.823 As
0.766 0.338 0.323 As
0.766 0.662 0.677 As
0.766 0.162 0.823 As
0.766 0.838 0.177 As
0.234 0.662 0.677 As
0.234 0.338 0.323 As
0.500 0.462 0.909 As
0.500 0.538 0.091 As
0.500 0.962 0.591 As
0.500 0.038 0.409 As
0.000 0.861 0.859 As
0.000 0.139 0.141 As
0.000 0.361 0.641 As
0.000 0.639 0.359 As
```

Calculated values
electronic total energy	-16.286	eV per atom
energy of formation	-1.33	eV per atom



No. 8
VASP calculation (r2SCAN) on a geometry-optimized Sr4TiAs4 structure.

Geometry as POSCAR:
```
Sr4TiAs4
1.0
-5.232 -11.396 -3.144
10.330 -2.736 -7.275
5.748 -5.457 10.213
Sr Ti As
32 8 32
Direct
0.147 0.147 0.147 Sr
0.353 0.647 0.353 Sr
0.647 0.353 0.353 Sr
0.353 0.353 0.647 Sr
0.147 0.853 0.853 Sr
0.853 0.853 0.147 Sr
0.853 0.147 0.853 Sr
0.647 0.647 0.647 Sr
0.905 0.863 0.647 Sr
0.905 0.137 0.353 Sr
0.863 0.647 0.905 Sr
0.137 0.647 0.095 Sr
0.647 0.905 0.863 Sr
0.353 0.095 0.863 Sr
0.595 0.853 0.363 Sr
0.595 0.147 0.637 Sr
0.405 0.853 0.637 Sr
0.147 0.637 0.595 Sr
0.637 0.405 0.853 Sr
0.637 0.595 0.147 Sr
0.853 0.363 0.595 Sr
0.363 0.595 0.853 Sr
0.853 0.637 0.405 Sr
0.147 0.363 0.405 Sr
0.363 0.405 0.147 Sr
0.353 0.905 0.137 Sr
0.647 0.095 0.137 Sr
0.863 0.353 0.095 Sr
0.137 0.353 0.905 Sr
0.095 0.137 0.647 Sr
0.095 0.863 0.353 Sr
0.405 0.147 0.363 Sr
0.000 0.000 0.000 Ti
0.750 0.000 0.500 Ti
0.500 0.750 0.000 Ti
0.500 0.250 0.000 Ti
0.000 0.500 0.250 Ti
0.000 0.500 0.750 Ti
0.250 0.000 0.500 Ti
0.500 0.500 0.500 Ti
0.608 0.855 0.115 As
0.645 0.108 0.385 As
0.892 0.615 0.645 As
0.108 0.615 0.355 As
0.615 0.645 0.892 As
0.385 0.355 0.892 As
0.855 0.885 0.392 As
0.855 0.115 0.608 As
0.145 0.885 0.608 As
0.390 0.390 0.390 As
0.608 0.145 0.885 As
0.645 0.892 0.615 As
0.885 0.392 0.855 As
0.392 0.855 0.885 As
0.885 0.608 0.145 As
0.115 0.392 0.145 As
0.392 0.145 0.115 As
0.385 0.645 0.108 As
0.615 0.355 0.108 As
0.892 0.385 0.355 As
0.108 0.385 0.645 As
0.355 0.108 0.615 As
0.355 0.892 0.385 As
0.145 0.115 0.392 As
0.110 0.890 0.110 As
0.110 0.110 0.890 As
0.890 0.110 0.110 As
0.610 0.610 0.390 As
0.390 0.610 0.610 As
0.610 0.390 0.610 As
0.890 0.890 0.890 As
0.115 0.608 0.855 As
```

Calculated values
electronic total energy	-16.040	eV per atom
energy of formation	-1.33	eV per atom



No. 9
VASP calculation (r2SCAN) on a geometry-optimized SrZn2As2 structure.

Geometry as POSCAR:
```
SrZn2As2
1.0
-2.430 -3.070 -1.563
2.597 2.135 -2.544
5.266 -4.837 1.316
Sr Zn As
1 2 2
Direct
0.000 0.000 0.000 Sr
0.667 0.333 0.371 Zn
0.333 0.667 0.629 Zn
0.667 0.333 0.728 As
0.333 0.667 0.272 As
```

Calculated values
electronic total energy	-13.278	eV per atom
energy of formation	-0.80	eV per atom



No. 10
VASP calculation (r2SCAN) on a geometry-optimized Ta2As structure.

Geometry as POSCAR:
```
Ta2As
1.0
3.478 0.000 0.000
0.000 11.900 0.000
0.000 0.000 14.814
Ta As
24 12
Direct
0.000 0.192 0.297 Ta
0.000 0.527 0.110 Ta
0.500 0.913 0.079 Ta
0.000 0.886 0.928 Ta
0.000 0.859 0.477 Ta
0.500 0.692 0.203 Ta
0.500 0.386 0.572 Ta
0.000 0.587 0.579 Ta
0.500 0.614 0.428 Ta
0.000 0.082 0.757 Ta
0.500 0.641 0.977 Ta
0.000 0.141 0.523 Ta
0.000 0.413 0.421 Ta
0.500 0.418 0.257 Ta
0.500 0.582 0.743 Ta
0.500 0.973 0.610 Ta
0.500 0.359 0.023 Ta
0.000 0.114 0.072 Ta
0.500 0.087 0.921 Ta
0.000 0.473 0.890 Ta
0.000 0.808 0.703 Ta
0.500 0.308 0.797 Ta
0.000 0.918 0.243 Ta
0.500 0.027 0.390 Ta
0.000 0.423 0.704 As
0.000 0.248 0.919 As
0.000 0.311 0.151 As
0.500 0.748 0.581 As
0.500 0.252 0.419 As
0.000 0.577 0.296 As
0.500 0.189 0.651 As
0.000 0.752 0.081 As
0.500 0.811 0.349 As
0.000 0.689 0.849 As
0.500 0.077 0.204 As
0.500 0.923 0.796 As
```

Calculated values
electronic total energy	-37.756	eV per atom
energy of formation	-0.46	eV per atom



No. 11
VASP calculation (r2SCAN) on a geometry-optimized Ta3As structure.

Geometry as POSCAR:
```
Ta3As
1.0
5.106 0.000 0.000
-2.553 7.378 -0.059
0.000 0.027 14.583
Ta As
24 8
Direct
0.429 0.862 0.173 Ta
0.567 0.138 0.327 Ta
0.571 0.138 0.827 Ta
0.433 0.862 0.673 Ta
0.922 0.857 0.325 Ta
0.065 0.143 0.175 Ta
0.078 0.143 0.675 Ta
0.935 0.857 0.825 Ta
0.013 0.506 0.202 Ta
0.507 0.494 0.298 Ta
0.987 0.494 0.798 Ta
0.493 0.506 0.702 Ta
0.701 0.902 0.998 Ta
0.799 0.098 0.502 Ta
0.299 0.098 0.002 Ta
0.201 0.902 0.498 Ta
0.590 0.683 0.498 Ta
0.907 0.317 0.002 Ta
0.410 0.317 0.502 Ta
0.093 0.683 0.998 Ta
0.519 0.498 0.909 Ta
0.021 0.502 0.591 Ta
0.481 0.502 0.091 Ta
0.979 0.498 0.409 Ta
0.900 0.790 0.646 As
0.111 0.210 0.854 As
0.100 0.210 0.354 As
0.889 0.790 0.146 As
0.620 0.220 0.652 As
0.400 0.780 0.848 As
0.380 0.780 0.348 As
0.600 0.220 0.152 As
```

Calculated values
electronic total energy	-40.495	eV per atom
energy of formation	-0.37	eV per atom